# 1
First-principles (PBE) data for a relaxed structure of BaZnAg4O8, as listed in Materials Project.

Output
- Total magnetic moment: 0.00 μB/atom
- Crystal system: trigonal

Lattice parameters (Å, degrees): 5.7742 5.7742 7.1592 90.00 90.00 120.00
Space group P-31m (No. 162)
One atom of each set of equivalent atoms:
Ba (0.0000, 0.0000, 0.0000) x1
Zn (0.0000, 0.0000, 0.5000) x1
Ag (0.3333, 0.6667, 0.2912) x4
O (0.0000, 0.2793, 0.3211) x6
O (0.3333, 0.6667, 0.0000) x2


# 2
First-principles (PBE) data for a relaxed structure of Ba2MgIn, as listed in Materials Project.

Output
- Crystal system: cubic

Lattice parameters (Å, degrees): 8.607 8.607 8.607 90.00 90.00 90.00
Space group Fm-3m (No. 225)
One atom of each set of equivalent atoms:
Ba (0.250, 0.250, 0.250) x8
Mg (0.000, 0.000, 0.000) x4
In (0.000, 0.000, 0.500) x4


no.,formation energy from the elements (eV per atom)
1,-0.702
2,-0.243